1.
Here is PtO2 after structural relaxation from Materials Project. Energies are from GGA-PBE.

Cell lengths 4.484, 4.484, 4.484 Å; angles 90.00, 90.00, 90.00 degrees
Positions (direct):
Pt  0.250  0.250  0.250
Pt  0.750  0.750  0.750
O  0.000  0.000  0.000
O  0.000  0.500  0.500
O  0.500  0.000  0.500
O  0.500  0.500  0.000

Calculated values
Calculated volume (Å³/f.u.): 45
Space group: Pn-3m, No. 224
Energy (eV per atom): -5.00

=====

2.
Here is PtO3 after structural relaxation from Materials Project. Energies are from GGA-PBE.

Cell lengths 5.123, 5.123, 5.123 Å; angles 57.08, 57.08, 57.08 degrees
Positions (direct):
Pt  0.000  0.000  0.000
Pt  0.500  0.500  0.500
O  0.075  0.750  0.425
O  0.250  0.575  0.925
O  0.425  0.075  0.750
O  0.575  0.925  0.250
O  0.750  0.425  0.075
O  0.925  0.250  0.575

Calculated values
Calculated volume (Å³/f.u.): 44
Space group: R-3c, No. 167
Energy (eV per atom): -5.32